## Na10Zn3Sn5P12O48 (GGA-PBE)

Data for a relaxed Na10Zn3Sn5P12O48 crystal.

Computed properties:
* ΔE_f: -2.49 eV per atom
* corrected total energy (MP2020 scheme): -0.251 hartree per atom
* space-group type: P1 (1)

Unit cell a=8.9136 b=15.4196 c=22.3801 alpha=89.94 beta=89.99 gamma=89.99
Sites, in units of the cell vectors:
1 Na 0.0000 0.0000 0.0000
2 Na 0.0009 0.3329 0.3311
3 Na 0.0402 0.6915 0.0003
4 Na 0.1612 0.5193 0.0893
5 Na 0.1688 0.8568 0.9136
6 Na 0.1748 0.5186 0.5838
7 Na 0.1765 0.1758 0.2531
8 Na 0.1817 0.8562 0.4141
9 Na 0.1862 0.1849 0.7494
10 Na 0.3070 0.3572 0.1686
11 Na 0.3097 0.6914 0.4996
12 Na 0.3481 0.0002 0.4999
13 Na 0.3504 0.6663 0.1691
14 Na 0.3656 0.3648 0.4995
15 Na 0.3667 0.7008 0.8307
16 Na 0.4825 0.8652 0.0004
17 Na 0.5003 0.4995 0.9998
18 Na 0.5391 0.1912 0.0003
19 Na 0.6635 0.3529 0.4143
20 Na 0.6693 0.3566 0.9135
21 Na 0.6723 0.6841 0.2535
22 Na 0.6744 0.0186 0.5841
23 Na 0.6759 0.0185 0.0851
24 Na 0.6863 0.6849 0.7494
25 Na 0.8089 0.1912 0.5002
26 Na 0.8484 0.5000 0.4994
27 Na 0.8662 0.8653 0.5004
28 Na 0.8668 0.2008 0.8309
29 Na 0.9822 0.3652 0.0008
30 Na 0.9849 0.6984 0.3309
31 Zn 0.1679 0.5193 0.2307
32 Zn 0.1734 0.8548 0.0691
33 Zn 0.1741 0.8525 0.5688
34 Zn 0.1815 0.1818 0.3937
35 Zn 0.1821 0.1848 0.8931
36 Zn 0.6654 0.6848 0.3943
37 Zn 0.6739 0.3525 0.5688
38 Zn 0.6770 0.3508 0.0686
39 Zn 0.6824 0.6851 0.8930
40 Sn 0.1709 0.1826 0.0993
41 Sn 0.1716 0.8542 0.7620
42 Sn 0.1732 0.5177 0.7262
43 Sn 0.1740 0.1852 0.5996
44 Sn 0.1736 0.5174 0.9282
45 Sn 0.1769 0.5185 0.4270
46 Sn 0.1769 0.8547 0.2641
47 Sn 0.6719 0.3531 0.2634
48 Sn 0.6717 0.3542 0.7619
49 Sn 0.6729 0.0175 0.9276
50 Sn 0.6733 0.0177 0.7262
51 Sn 0.6740 0.0188 0.4279
52 Sn 0.6737 0.6855 0.5997
53 Sn 0.6752 0.0184 0.2282
54 Sn 0.6817 0.6862 0.0988
55 P 0.0252 0.9998 0.1616
56 P 0.0251 0.3707 0.8289
57 P 0.0266 0.6668 0.8285
58 P 0.0267 0.7051 0.1621
59 P 0.0278 0.0396 0.4949
60 P 0.0288 0.3319 0.4938
61 P 0.3203 0.0393 0.9947
62 P 0.3199 0.3316 0.9957
63 P 0.3219 0.0006 0.6612
64 P 0.3231 0.7040 0.6625
65 P 0.3243 0.6676 0.3266
66 P 0.3249 0.3699 0.3276
67 P 0.3779 0.3515 0.6613
68 P 0.3790 0.0188 0.3289
69 P 0.3814 0.6849 0.9945
70 P 0.4669 0.1852 0.4954
71 P 0.4702 0.5173 0.8294
72 P 0.4708 0.8529 0.1607
73 P 0.5249 0.8706 0.8289
74 P 0.5264 0.1670 0.8284
75 P 0.5272 0.2032 0.1608
76 P 0.5284 0.5393 0.4954
77 P 0.5288 0.5002 0.1604
78 P 0.5290 0.8319 0.4953
79 P 0.8202 0.8321 0.9944
80 P 0.8209 0.5391 0.9942
81 P 0.8222 0.1670 0.3289
82 P 0.8220 0.5005 0.6612
83 P 0.8232 0.2040 0.6624
84 P 0.8232 0.8707 0.3292
85 P 0.8772 0.5185 0.3290
86 P 0.8781 0.8515 0.6613
87 P 0.8803 0.1847 0.9931
88 P 0.9675 0.6850 0.4938
89 P 0.9703 0.0173 0.8294
90 P 0.9704 0.3520 0.1615
91 O 0.0427 0.0986 0.5518
92 O 0.0447 0.4250 0.8882
93 O 0.0480 0.9508 0.1032
94 O 0.0528 0.2782 0.4375
95 O 0.0541 0.7613 0.2196
96 O 0.0633 0.0997 0.8337
97 O 0.0630 0.6083 0.7751
98 O 0.0656 0.9337 0.8239
99 O 0.0687 0.5997 0.4906
100 O 0.0723 0.7635 0.5021
101 O 0.0736 0.2679 0.1595
102 O 0.0764 0.4295 0.1675
103 O 0.0912 0.2799 0.8332
104 O 0.0928 0.9478 0.5024
105 O 0.0939 0.7463 0.1054
106 O 0.0962 0.4173 0.7756
107 O 0.0975 0.9574 0.2172
108 O 0.1003 0.0810 0.4407
109 O 0.0997 0.0916 0.1598
110 O 0.1008 0.6159 0.1679
111 O 0.1059 0.6296 0.8871
112 O 0.1069 0.4249 0.4909
113 O 0.1099 0.2922 0.5497
114 O 0.1122 0.7558 0.8236
115 O 0.2376 0.7578 0.3247
116 O 0.2411 0.4241 0.9916
117 O 0.2437 0.2949 0.0544
118 O 0.2440 0.6294 0.3853
119 O 0.2463 0.0803 0.9408
120 O 0.2490 0.0923 0.6594
121 O 0.2487 0.2817 0.3345
122 O 0.2509 0.6122 0.6689
123 O 0.2516 0.9586 0.7179
124 O 0.2564 0.4137 0.2728
125 O 0.2558 0.9474 0.0025
126 O 0.2573 0.7435 0.6058
127 O 0.2765 0.2693 0.6592
128 O 0.2774 0.4338 0.6686
129 O 0.2767 0.7635 0.0018
130 O 0.2811 0.0985 0.3327
131 O 0.2812 0.5994 0.9915
132 O 0.2851 0.9335 0.3241
133 O 0.2893 0.6146 0.2711
134 O 0.2917 0.2736 0.9424
135 O 0.2954 0.7582 0.7208
136 O 0.2980 0.9494 0.6038
137 O 0.3028 0.4252 0.3872
138 O 0.3057 0.0983 0.0517
139 O 0.3501 0.5318 0.4906
140 O 0.3498 0.8622 0.8238
141 O 0.3510 0.1981 0.1584
142 O 0.3578 0.5108 0.1669
143 O 0.3588 0.1769 0.8337
144 O 0.3589 0.8453 0.5027
145 O 0.3612 0.5326 0.7768
146 O 0.3691 0.2018 0.4413
147 O 0.3689 0.8342 0.2157
148 O 0.3705 0.1635 0.5522
149 O 0.3780 0.5005 0.8890
150 O 0.3836 0.8663 0.1028
151 O 0.4664 0.3651 0.6039
152 O 0.4716 0.0019 0.3880
153 O 0.4760 0.3370 0.7180
154 O 0.4770 0.6987 0.9390
155 O 0.4787 0.6661 0.0520
156 O 0.4834 0.0299 0.2745
157 O 0.4900 0.3454 0.0021
158 O 0.4914 0.6793 0.3341
159 O 0.4954 0.0100 0.6684
160 O 0.4970 0.6950 0.6600
161 O 0.4983 0.0316 0.9904
162 O 0.4998 0.3624 0.3245
163 O 0.5428 0.5985 0.5522
164 O 0.5444 0.9249 0.8882
165 O 0.5502 0.2640 0.2156
166 O 0.5541 0.4468 0.1035
167 O 0.5549 0.7752 0.4412
168 O 0.5627 0.1083 0.7751
169 O 0.5630 0.5998 0.8338
170 O 0.5653 0.7667 0.1581
171 O 0.5656 0.4337 0.8239
172 O 0.5675 0.0998 0.4910
173 O 0.5729 0.2632 0.5028
174 O 0.5736 0.9328 0.1689
175 O 0.5902 0.2400 0.1027
176 O 0.5908 0.7798 0.8332
177 O 0.5922 0.4473 0.5029
178 O 0.5963 0.1119 0.1691
179 O 0.5963 0.9172 0.7757
180 O 0.5988 0.5940 0.1577
181 O 0.6025 0.4585 0.2163
182 O 0.6024 0.5800 0.4414
183 O 0.6055 0.1297 0.8870
184 O 0.6064 0.9250 0.4912
185 O 0.6095 0.7945 0.5522
186 O 0.6121 0.2558 0.8235
187 O 0.7393 0.7954 0.0516
188 O 0.7421 0.9249 0.9908
189 O 0.7469 0.2587 0.3238
190 O 0.7466 0.5805 0.9405
191 O 0.7494 0.5924 0.6591
192 O 0.7504 0.1291 0.3876
193 O 0.7512 0.1122 0.6689
194 O 0.7513 0.4588 0.7178
195 O 0.7532 0.9163 0.2749
196 O 0.7574 0.2435 0.6058
197 O 0.7568 0.4473 0.0019
198 O 0.7587 0.7797 0.3331
199 O 0.7763 0.2634 0.0011
200 O 0.7773 0.7690 0.6593
201 O 0.7774 0.9337 0.6686
202 O 0.7796 0.0994 0.9905
203 O 0.7803 0.5988 0.3361
204 O 0.7851 0.4316 0.3247
205 O 0.7882 0.1091 0.2748
206 O 0.7942 0.7747 0.9406
207 O 0.7957 0.2582 0.7207
208 O 0.7980 0.4493 0.6038
209 O 0.8014 0.9257 0.3877
210 O 0.8073 0.5981 0.0513
211 O 0.8496 0.0315 0.4906
212 O 0.8499 0.3622 0.8238
213 O 0.8521 0.0101 0.1690
214 O 0.8516 0.6981 0.1595
215 O 0.8589 0.3449 0.5022
216 O 0.8589 0.6767 0.8335
217 O 0.8613 0.0326 0.7768
218 O 0.8673 0.6645 0.5496
219 O 0.8733 0.3367 0.2191
220 O 0.8750 0.6997 0.4375
221 O 0.8778 0.0006 0.8888
222 O 0.8794 0.3615 0.1041
223 O 0.9666 0.8650 0.6038
224 O 0.9712 0.4976 0.3885
225 O 0.9739 0.1992 0.9371
226 O 0.9761 0.8371 0.7179
227 O 0.9798 0.1639 0.0491
228 O 0.9819 0.5326 0.2767
229 O 0.9901 0.8456 0.0019
230 O 0.9909 0.1796 0.3330
231 O 0.9954 0.5101 0.6683
232 O 0.9972 0.1951 0.6598
233 O 0.9984 0.8631 0.3246
234 O 0.9989 0.5316 0.9901